Here is an optimized crystal structure of CaSb2O4 from the Materials Project. Energies are from PBE.

Values from the calculation:
* calculated total energy: -255.4 eV/cell
* energy of formation from the pure elements: -2180 meV/atom
* size of the total moment: 0.00 μB/cell
* distance to the lowest polymorph of the same formula: 0.0000 eV/atom

Unit cell a=6.492 b=7.135 c=18.206 alpha=88.08 beta=89.27 gamma=63.86
Fractional positions:
Ca  0.000  0.000  0.000
Ca  0.027  0.938  0.647
Ca  0.168  0.710  0.840
Ca  0.568  0.949  0.506
Ca  0.649  0.564  0.326
Ca  0.869  0.284  0.164
Sb  0.063  0.479  0.514
Sb  0.089  0.916  0.399
Sb  0.225  0.150  0.833
Sb  0.375  0.356  0.027
Sb  0.417  0.221  0.658
Sb  0.425  0.773  0.123
Sb  0.450  0.183  0.312
Sb  0.575  0.452  0.498
Sb  0.670  0.703  0.945
Sb  0.671  0.256  0.839
Sb  0.802  0.568  0.714
Sb  0.961  0.767  0.234
O  0.066  0.470  0.786
O  0.095  0.012  0.767
O  0.178  0.049  0.107
O  0.178  0.521  0.619
O  0.184  0.693  0.319
O  0.265  0.658  0.055
O  0.280  0.077  0.599
O  0.337  0.889  0.919
O  0.415  0.781  0.430
O  0.431  0.405  0.920
O  0.532  0.196  0.414
O  0.579  0.558  0.800
O  0.648  0.793  0.052
O  0.649  0.289  0.262
O  0.675  0.174  0.582
O  0.682  0.876  0.298
O  0.685  0.261  0.063
O  0.739  0.597  0.555
O  0.752  0.858  0.708
O  0.830  0.875  0.915
O  0.839  0.389  0.431
O  0.936  0.509  0.231
O  0.941  0.237  0.898
O  0.974  0.787  0.480


Here is an optimized crystal structure of SrCaTbSbO6 from the Materials Project. Energies are from PBE.

Values from the calculation:
* calculated total energy: -67.9 eV/cell
* energy of formation from the pure elements: -2983 meV/atom
* size of the total moment: 0.00 μB/cell

Unit cell a=5.924 b=5.924 c=5.924 alpha=60.00 beta=60.00 gamma=60.00
Fractional positions:
Sr  0.000  0.000  0.000
Ca  0.500  0.500  0.500
Tb  0.750  0.750  0.750
Sb  0.250  0.250  0.250
O  0.013  0.013  0.487
O  0.013  0.487  0.013
O  0.013  0.487  0.487
O  0.487  0.013  0.013
O  0.487  0.013  0.487
O  0.487  0.487  0.013


Here is an optimized crystal structure of Ca2TaSbO6 from the Materials Project. Energies are from PBE.

Values from the calculation:
* calculated total energy: -149.8 eV/cell
* energy of formation from the pure elements: -2931 meV/atom
* size of the total moment: 0.00 μB/cell

Unit cell a=5.719 b=8.036 c=5.924 alpha=90.00 beta=90.96 gamma=90.00
Fractional positions:
Ca  0.005  0.250  0.443
Ca  0.489  0.250  0.948
Ca  0.511  0.750  0.052
Ca  0.995  0.750  0.557
Ta  0.500  0.000  0.500
Ta  0.500  0.500  0.500
Sb  0.000  0.000  0.000
Sb  0.000  0.500  0.000
O  0.129  0.750  0.940
O  0.212  0.057  0.668
O  0.212  0.443  0.668
O  0.335  0.057  0.211
O  0.335  0.443  0.211
O  0.398  0.750  0.459
O  0.602  0.250  0.541
O  0.665  0.557  0.789
O  0.665  0.943  0.789
O  0.788  0.557  0.332
O  0.788  0.943  0.332
O  0.871  0.250  0.060